Model w:
A geometry-optimized AlP3O9 structure, computed with PBE.

Geometry as POSCAR:
```
AlP3O9
1.0
-2.143 -9.912 -11.377
0.119 -4.653 4.032
-7.879 -1.011 2.365
Al P O
4 12 36
Direct
0.638 0.385 0.377
0.138 0.615 0.123
0.362 0.615 0.623
0.862 0.385 0.877
0.837 0.299 0.517
0.337 0.701 0.983
0.163 0.701 0.483
0.663 0.299 0.017
0.544 0.355 0.718
0.044 0.645 0.782
0.456 0.645 0.282
0.956 0.355 0.218
0.613 0.915 0.290
0.113 0.085 0.210
0.387 0.085 0.710
0.887 0.915 0.790
0.659 0.694 0.355
0.159 0.306 0.145
0.341 0.306 0.645
0.841 0.694 0.855
0.615 0.077 0.398
0.115 0.923 0.102
0.385 0.923 0.602
0.885 0.077 0.898
0.758 0.325 0.408
0.258 0.675 0.092
0.242 0.675 0.592
0.742 0.325 0.908
0.621 0.335 0.611
0.121 0.665 0.889
0.379 0.665 0.389
0.879 0.335 0.111
0.846 0.435 0.642
0.346 0.565 0.858
0.154 0.565 0.358
0.654 0.435 0.142
0.485 0.555 0.661
0.985 0.445 0.839
0.515 0.445 0.339
0.015 0.555 0.161
0.924 0.350 0.403
0.424 0.650 0.097
0.076 0.650 0.597
0.576 0.350 0.903
0.488 0.125 0.754
0.988 0.875 0.746
0.512 0.875 0.246
0.012 0.125 0.254
0.847 0.034 0.608
0.347 0.966 0.892
0.153 0.966 0.392
0.653 0.034 0.108
```

Results
M_tot: 0.0 μB per formula unit
SG: P2_1/c, No. 14
theoretical density: 2.33 g/cm3


Model x:
A geometry-optimized AlP3O9 structure, computed with PBE.

Geometry as POSCAR:
```
AlP3O9
1.0
-8.347 -6.065 5.112
10.287 -2.586 4.481
-0.015 1.752 9.204
Al P O
6 18 54
Direct
0.419 0.595 0.486
0.595 0.419 0.986
0.086 0.925 0.490
0.925 0.086 0.990
0.742 0.233 0.519
0.233 0.742 0.019
0.619 0.675 0.652
0.675 0.619 0.152
0.267 0.995 0.679
0.995 0.267 0.179
0.933 0.326 0.685
0.326 0.933 0.185
0.843 0.906 0.808
0.906 0.843 0.308
0.494 0.221 0.832
0.221 0.494 0.332
0.163 0.560 0.833
0.560 0.163 0.333
0.583 0.881 0.775
0.881 0.583 0.275
0.284 0.253 0.720
0.253 0.284 0.220
0.938 0.574 0.737
0.574 0.938 0.237
0.807 0.233 0.679
0.233 0.807 0.179
0.515 0.588 0.614
0.588 0.515 0.114
0.141 0.921 0.660
0.921 0.141 0.160
0.077 0.371 0.521
0.371 0.077 0.021
0.764 0.809 0.467
0.809 0.764 0.967
0.412 0.037 0.518
0.037 0.412 0.018
0.934 0.259 0.852
0.259 0.934 0.352
0.653 0.594 0.777
0.594 0.653 0.277
0.259 0.916 0.849
0.916 0.259 0.349
0.133 0.181 0.871
0.181 0.133 0.371
0.793 0.482 0.907
0.482 0.793 0.407
0.438 0.829 0.922
0.829 0.438 0.422
0.348 0.398 0.562
0.398 0.348 0.062
0.977 0.718 0.601
0.718 0.977 0.101
0.665 0.029 0.612
0.029 0.665 0.112
0.247 0.534 0.699
0.534 0.247 0.199
0.913 0.913 0.636
0.913 0.913 0.136
0.560 0.186 0.697
0.186 0.560 0.197
0.248 0.672 0.863
0.672 0.248 0.363
0.928 0.035 0.816
0.035 0.928 0.316
0.598 0.327 0.853
0.327 0.598 0.353
0.154 0.298 0.138
0.298 0.154 0.638
0.762 0.558 0.219
0.558 0.762 0.719
0.482 0.954 0.141
0.954 0.482 0.641
0.274 0.393 0.292
0.393 0.274 0.792
0.871 0.681 0.362
0.681 0.871 0.862
0.609 0.064 0.279
0.064 0.609 0.779
```

Results
M_tot: 0.0 μB per formula unit
SG: Cc, No. 9
theoretical density: 2.82 g/cm3


Least stable structure among those shown: model x.